i | Below is crystalline Na2MgNi5O10 at its relaxed geometry, with properties calculated at the PBE with a Hubbard U level.

Calculated values
**SG**: P1 (1)

Cell and atoms, written as POSCAR:
```
Na2MgNi5O10
1.0
-0.284 -0.581 -6.703
4.226 -2.508 -0.474
-1.388 -5.554 2.398
O Ni Na Mg
10 5 2 1
Cartesian
2.322 -7.917 -3.045
0.309 -0.814 -1.733
-0.416 -3.300 -1.027
0.823 -5.682 -2.017
1.771 -6.671 1.343
1.594 -2.953 -2.803
0.762 -1.985 -5.966
2.591 -3.536 -0.464
3.071 -5.216 -3.831
-0.057 -5.128 -4.341
-0.275 -0.594 -6.683
-0.164 -4.188 -2.674
1.371 -2.214 -1.037
2.741 -4.391 -2.162
1.169 -6.463 -3.697
3.491 -5.313 0.695
2.066 -7.134 -0.844
0.561 -1.469 -3.906
```

=====

ii | Below is crystalline Na2MgNi5O10 at its relaxed geometry, with properties calculated at the PBE with a Hubbard U level.

Calculated values
**SG**: P-1 (2)

Cell and atoms, written as POSCAR:
```
Na2MgNi5O10
1.0
4.227 -1.324 -5.269
2.443 4.304 -0.142
3.253 -0.197 5.273
O Ni Mg Na
10 5 1 2
Cartesian
3.125 0.084 1.154
3.329 2.739 0.996
5.704 1.286 1.157
6.725 0.029 -1.267
1.621 0.097 -1.109
4.130 1.310 -0.912
6.517 2.815 -0.986
8.355 2.804 0.735
5.077 2.555 4.004
5.046 0.202 -4.470
4.986 -0.059 0.045
4.937 2.811 0.039
3.265 -0.172 5.119
7.443 1.373 -0.155
2.475 1.418 -0.057
4.101 1.319 2.579
7.158 2.369 2.565
5.270 -1.055 -2.675
```

=====

What should be chosen as the least stable of them? Choose i.